Na14Al8Si7S5O48 | GGA-PBE | relaxed Values from VASP.

Calculated values
As for the calculated total energy: -6.473 eV per atom. As for the total magnetization: 0.0 μB per cell. The energy relative to the elements comes out at -2.673 eV per atom.

```
&SYSTEM
  ibrav = 0, nat = 246, ntyp = 5
/
ATOMIC_SPECIES
Na 22.99 Na.upf
Al 26.98 Al.upf
Si 28.09 Si.upf
S 32.06 S.upf
O 16.00 O.upf
ATOMIC_POSITIONS angstrom
Na -11.194 7.375 1.789
Na -1.914 5.484 2.750
Na -8.633 8.249 -2.147
Na -13.225 9.162 -2.951
Na -6.536 6.407 1.949
Na -1.937 15.741 6.663
Na -10.789 20.093 -2.424
Na -4.114 17.313 2.474
Na 0.622 16.475 2.671
Na -6.122 19.308 -2.213
Na 0.009 11.971 4.801
Na -6.710 14.812 -0.082
Na -3.403 11.655 8.271
Na -10.094 14.505 3.404
Na -2.804 0.538 7.098
Na -9.640 3.371 2.194
Na -5.083 2.104 3.064
Na -11.804 4.823 -1.766
Na -3.623 20.143 6.336
Na -10.251 22.929 1.498
Na -0.932 20.502 2.155
Na -7.579 23.418 -2.690
Na 1.054 18.858 6.163
Na -5.693 21.662 1.298
Na -5.141 10.659 0.155
Na -11.848 13.461 -4.731
Na -0.684 9.116 1.019
Na -7.380 11.937 -3.840
Na -3.800 8.839 4.619
Na -10.511 11.674 -0.254
Na -11.362 15.724 -6.801
Na -4.675 12.932 -1.917
Na -14.571 3.518 -1.360
Na -3.931 21.077 9.278
Na -1.393 18.147 4.417
Na -8.070 20.882 -0.363
Na -3.394 7.854 1.370
Na -10.146 10.666 -3.403
Na -2.399 2.949 5.040
Na -9.118 5.648 0.100
Na -0.248 13.108 7.869
Na -7.074 16.017 2.907
Al 1.395 7.147 2.039
Al -5.273 9.935 -2.812
Al 2.189 15.252 13.352
Al -3.276 20.166 0.117
Al -10.755 18.777 -5.730
Al -4.071 15.995 -0.826
Al -13.953 6.451 -0.703
Al -7.337 3.795 4.126
Al -2.125 15.224 3.502
Al -8.837 18.056 -1.342
Al -4.164 5.027 0.684
Al -10.853 7.751 -4.280
Al -0.901 21.086 5.339
Al -7.594 23.969 0.377
Al -2.909 10.925 2.251
Al -9.605 13.732 -2.632
Al -2.971 -0.193 4.149
Al -9.842 2.742 -0.573
Al -0.894 10.012 6.871
Al -7.609 12.838 1.990
Al -2.125 5.901 5.840
Al -8.735 8.761 0.918
Al 0.052 16.179 8.679
Al -6.780 18.987 3.702
Si -2.221 3.757 8.413
Si -8.911 6.643 3.533
Si -4.671 5.576 3.971
Si -11.354 8.417 -0.961
Si 0.713 15.466 5.412
Si -6.030 18.270 0.551
Si -2.985 15.168 9.303
Si -9.695 17.960 4.395
Si -4.497 13.833 1.623
Si -11.194 16.630 -3.259
Si -6.869 3.079 0.944
Si -13.589 5.887 -3.966
Si -11.001 6.302 -7.258
Si -1.295 19.050 7.917
Si -7.989 21.888 3.004
Si 0.276 17.566 11.772
Si -6.425 20.325 6.858
Si -3.680 8.287 7.428
Si -10.398 11.067 2.538
Si -1.025 8.608 3.942
Si -7.711 11.426 -0.945
S 0.649 4.497 3.854
S -6.010 7.261 -1.052
S -11.233 19.317 0.631
S -4.546 16.499 5.513
S -0.155 12.857 1.930
S -6.854 15.647 -2.964
S -2.948 12.471 5.328
S -9.648 15.264 0.431
S -4.257 3.476 -2.351
S -2.608 2.040 1.456
S -9.241 4.850 -3.412
S 2.900 17.974 8.318
S -3.767 20.823 3.447
S 0.548 7.236 7.794
S -6.158 10.041 2.907
O -0.187 6.798 1.158
O -6.828 9.625 -3.734
O -5.371 6.978 4.466
O -12.059 9.824 -0.466
O -5.476 8.608 -1.423
O -12.178 11.420 -6.331
O 1.697 16.719 5.073
O -5.008 19.507 0.208
O -4.195 17.434 6.618
O -10.944 20.282 1.711
O -2.368 18.761 0.933
O -9.097 21.549 -3.964
O -3.725 14.233 8.180
O -10.458 16.968 3.345
O 1.360 14.055 4.895
O -5.338 16.848 0.063
O 1.588 12.459 10.911
O -5.103 15.232 6.027
O -5.650 4.296 4.176
O -12.317 7.157 -0.651
O 0.329 3.663 2.712
O -6.327 6.440 -2.226
O -1.586 2.249 8.431
O -8.324 5.119 3.480
O -3.618 14.794 2.600
O -10.330 17.588 -2.272
O -0.785 14.118 2.421
O -7.488 16.897 -2.490
O -2.377 13.761 4.851
O -9.065 16.520 -0.076
O -5.813 4.317 0.832
O -12.556 7.142 -4.059
O -3.927 4.304 -1.175
O -10.540 7.218 -5.979
O -3.187 3.414 1.484
O -9.796 6.239 -3.388
O -3.336 1.184 0.453
O -9.952 4.004 -4.423
O -6.119 1.683 0.510
O -12.880 4.487 -4.408
O -4.711 2.114 -1.934
O -11.491 4.817 -6.785
O -1.070 11.695 2.172
O -7.761 14.472 -2.717
O -3.152 11.530 4.200
O -9.869 14.293 -0.678
O -3.822 12.342 1.574
O -10.525 15.136 -3.318
O -0.433 19.936 8.999
O -7.167 22.776 4.103
O 2.271 19.226 8.785
O -4.396 22.040 3.904
O 0.955 18.959 11.283
O -5.720 21.724 6.410
O -2.643 9.556 7.198
O -9.339 12.308 2.301
O -0.581 9.597 5.172
O -7.277 12.398 0.295
O -0.029 8.604 7.801
O -6.736 11.402 2.905
O -0.114 6.366 6.823
O -6.837 9.165 1.931
O -2.919 6.913 7.044
O -9.695 9.658 2.125
O -1.663 7.221 4.526
O -8.336 10.026 -0.377
O 1.975 16.816 8.504
O -4.596 19.608 3.645
O -0.092 16.620 10.475
O -6.736 19.398 5.533
O -0.658 17.548 7.786
O -7.297 20.424 2.854
O 0.434 6.791 9.212
O -6.261 9.590 4.318
O -5.047 8.627 6.572
O -11.764 11.420 1.688
O 0.364 8.426 3.074
O -6.321 11.230 -1.802
O 3.232 18.231 6.892
O -3.417 21.046 1.996
O 1.375 16.899 12.793
O -5.311 19.669 7.895
O -2.860 19.063 8.420
O -9.567 21.853 3.512
O -4.369 14.354 0.013
O -11.092 17.144 -4.873
O 1.092 12.516 2.654
O -5.606 15.308 -2.231
O -4.237 12.613 6.041
O -10.938 15.417 1.149
O -7.262 2.785 2.570
O -13.997 5.595 -2.366
O -5.303 4.033 -3.238
O -12.106 6.962 -8.276
O -1.216 2.000 1.039
O -7.809 4.836 -3.856
O -1.812 16.728 2.467
O -8.540 19.538 -2.420
O -0.712 15.770 4.622
O -7.391 18.555 -0.313
O -3.235 16.323 4.788
O -9.955 19.146 -0.113
O -4.304 5.868 2.368
O -10.977 8.629 -2.552
O -4.975 6.683 -0.145
O -11.695 9.543 -5.011
O -2.520 5.847 0.467
O -9.201 8.805 -4.405
O -1.214 19.577 6.357
O -7.923 22.459 1.458
O -2.463 20.496 4.147
O -9.277 23.193 -0.726
O 0.135 19.951 4.182
O -6.554 22.659 -0.715
O -2.822 10.133 0.609
O -9.518 12.918 -4.274
O -2.179 9.349 2.997
O -8.875 12.144 -1.886
O -4.714 10.011 2.525
O -11.406 12.816 -2.345
O -2.782 1.523 2.843
O -9.374 4.336 -2.053
O -1.601 0.686 5.020
O -8.255 3.458 0.173
O -4.251 1.266 5.270
O -10.841 4.049 0.292
O -1.177 10.970 8.886
O -7.869 13.737 3.984
O -1.908 11.952 6.283
O -8.618 14.728 1.395
O 0.608 11.114 6.935
O -6.092 13.924 2.043
O -1.967 4.359 6.896
O -8.705 7.207 1.991
O -3.265 5.135 4.685
O -9.967 7.990 -0.172
O -0.589 4.677 4.656
O -7.271 7.416 -0.271
O 0.437 15.242 7.024
O -6.235 18.062 2.165
O 1.168 14.289 9.449
O -5.514 17.065 4.563
O -1.409 15.051 8.848
O -8.121 17.813 3.994
CELL_PARAMETERS angstrom
-13.404 5.595 -9.772
-1.285 -2.105 8.394
4.077 20.368 5.839
```